DFT (PBE-GGA) results for an optimized crystal structure of Ti6Al16Ni7.

Cell: 11.802 11.802 11.802 Å, 90.00 90.00 90.00°
Space group Fm-3m (No. 225)
Symmetry-distinct sites (fractional):
Ti: 0.000 0.000 0.182
Al: 0.119 0.119 0.381
Al: 0.162 0.162 0.162
Ni: 0.000 0.000 0.500
Ni: 0.000 0.250 0.250

Output
crystal system	cubic

***

DFT (PBE-GGA) results for an optimized crystal structure of TmAlNi.

Cell: 8.418 5.344 9.120 Å, 90.00 90.00 90.00°
Space group Amm2 (No. 38)
Symmetry-distinct sites (fractional):
Tm: 0.176 0.000 0.000
Tm: 0.294 0.000 0.663
Al: 0.236 0.000 0.326
Al: 0.500 0.246 0.917
Ni: 0.000 0.000 0.498
Ni: 0.000 0.245 0.745
Ni: 0.500 0.000 0.163

Output
crystal system	orthorhombic
size of the total moment	0.00	μB per formula unit

***

In the order shown, the computed E_form values come out to -0.564 -0.545 eV per atom.